A plane-wave DFT calculation with PBE was carried out for crystalline LaScO3 at its relaxed geometry.

```
LaScO3
1.0
4.079 0.000 0.000
0.000 4.079 0.000
0.000 0.000 4.079
La Sc O
1 1 3
direct
0.000 0.000 0.000
0.500 0.500 0.500
0.000 0.500 0.500
0.500 0.000 0.500
0.500 0.500 0.000
```

Computed properties:
**Crystal system**: cubic
**Calculated formation energy**: -3746 meV per atom
**SG**: Pm-3m, No. 221
**E (MP2020)**: -8.9690 eV per atom

A plane-wave DFT calculation with PBE was carried out for crystalline La2Sc2O5 at its relaxed geometry.

```
La2Sc2O5
1.0
-1.327 2.678 8.539
-7.992 1.519 3.958
4.543 -5.994 -5.027
La Sc O
4 4 10
direct
0.126 0.624 0.498
0.874 0.372 0.498
0.626 0.124 0.498
0.374 0.872 0.498
0.000 0.006 0.006
0.500 0.506 0.006
0.263 0.269 0.032
0.737 0.769 0.007
0.212 0.721 0.995
0.788 0.783 0.509
0.226 0.221 0.509
0.774 0.283 0.995
0.218 0.159 0.126
0.782 0.907 0.941
0.533 0.659 0.941
0.467 0.407 0.126
0.038 0.563 0.100
0.962 0.063 0.525
```

Computed properties:
**Crystal system**: orthorhombic
**Calculated formation energy**: -3570 meV per atom
**SG**: Ima2, No. 46
**E (MP2020)**: -8.8228 eV per atom

A plane-wave DFT calculation with PBE was carried out for crystalline LaScO3 at its relaxed geometry.

```
LaScO3
1.0
-2.947 -1.469 -4.660
2.228 -5.387 0.289
-6.251 -2.334 4.688
La Sc O
4 4 12
direct
0.988 0.045 0.750
0.488 0.455 0.250
0.512 0.545 0.750
0.012 0.955 0.250
0.000 0.500 0.500
0.500 0.000 0.500
0.500 0.000 0.000
0.000 0.500 0.000
0.704 0.297 0.555
0.204 0.203 0.445
0.796 0.797 0.945
0.296 0.703 0.055
0.296 0.703 0.445
0.796 0.797 0.555
0.204 0.203 0.055
0.704 0.297 0.945
0.898 0.535 0.250
0.398 0.965 0.750
0.602 0.035 0.250
0.102 0.465 0.750
```

Computed properties:
**Crystal system**: orthorhombic
**Calculated formation energy**: -3951 meV per atom
**SG**: Pnma, No. 62
**E (MP2020)**: -9.1730 eV per atom

A plane-wave DFT calculation with PBE was carried out for crystalline LaY3Sc4O12 at its relaxed geometry.

```
LaY3Sc4O12
1.0
8.030 0.000 0.000
0.000 5.530 0.000
0.000 0.002 5.790
La Y Sc O
1 3 4 12
direct
0.500 0.514 0.447
0.500 0.979 0.940
0.000 0.481 0.563
0.000 0.016 0.059
0.247 0.501 0.001
0.754 0.999 0.501
0.753 0.501 0.001
0.246 0.999 0.501
0.500 0.373 0.039
0.500 0.103 0.554
0.000 0.629 0.944
0.000 0.869 0.441
0.180 0.197 0.803
0.818 0.309 0.308
0.688 0.813 0.191
0.308 0.699 0.703
0.312 0.813 0.191
0.692 0.699 0.703
0.820 0.197 0.803
0.182 0.309 0.308
```

Computed properties:
**Crystal system**: monoclinic
**Calculated formation energy**: -3937 meV per atom
**SG**: Pm, No. 6
**E (MP2020)**: -9.3891 eV per atom

A plane-wave DFT calculation with PBE was carried out for crystalline La3YSc4O12 at its relaxed geometry.

```
La3YSc4O12
1.0
-0.474 7.341 -3.475
-2.893 1.933 4.478
4.992 1.548 2.590
La Y Sc O
3 1 4 12
direct
0.000 0.988 0.046
0.500 0.488 0.454
0.500 0.013 0.953
0.000 0.513 0.553
0.247 0.499 0.000
0.753 0.001 0.500
0.753 0.499 0.000
0.247 0.001 0.500
0.000 0.400 0.949
0.000 0.124 0.465
0.500 0.602 0.036
0.500 0.900 0.535
0.304 0.199 0.200
0.697 0.298 0.702
0.807 0.795 0.795
0.187 0.693 0.307
0.193 0.795 0.795
0.813 0.693 0.307
0.696 0.199 0.200
0.303 0.298 0.702
```

Computed properties:
**Crystal system**: monoclinic
**Calculated formation energy**: -3940 meV per atom
**SG**: Pm, No. 6
**E (MP2020)**: -9.2393 eV per atom

A plane-wave DFT calculation with PBE was carried out for crystalline La2Se3O9 at its relaxed geometry.

```
La2Se3O9
1.0
-3.893 0.339 6.008
-6.763 -3.177 -4.203
4.156 -13.410 3.449
La Se O
8 12 36
direct
0.179 0.300 0.064
0.679 0.200 0.936
0.321 0.800 0.436
0.821 0.700 0.564
0.821 0.700 0.936
0.321 0.800 0.064
0.679 0.200 0.564
0.179 0.300 0.436
0.179 0.048 0.875
0.679 0.452 0.125
0.321 0.548 0.625
0.821 0.952 0.375
0.594 0.956 0.750
0.094 0.544 0.250
0.906 0.456 0.750
0.406 0.044 0.250
0.821 0.952 0.125
0.321 0.548 0.875
0.679 0.452 0.375
0.179 0.048 0.625
0.739 0.943 0.846
0.239 0.557 0.154
0.761 0.443 0.654
0.261 0.057 0.346
0.261 0.057 0.154
0.761 0.443 0.846
0.239 0.557 0.346
0.739 0.943 0.654
0.432 0.844 0.250
0.932 0.656 0.750
0.068 0.344 0.250
0.568 0.156 0.750
0.091 0.880 0.923
0.591 0.620 0.077
0.409 0.380 0.577
0.909 0.120 0.423
0.029 0.199 0.596
0.529 0.301 0.404
0.471 0.699 0.904
0.971 0.801 0.096
0.971 0.801 0.404
0.471 0.699 0.596
0.529 0.301 0.096
0.029 0.199 0.904
0.350 0.075 0.539
0.850 0.425 0.461
0.150 0.575 0.961
0.650 0.925 0.039
0.650 0.925 0.461
0.150 0.575 0.539
0.850 0.425 0.039
0.350 0.075 0.961
0.091 0.880 0.577
0.591 0.620 0.423
0.409 0.380 0.923
0.909 0.120 0.077
```

Computed properties:
**Crystal system**: orthorhombic
**Calculated formation energy**: -2341 meV per atom
**SG**: Pnma, No. 62
**E (MP2020)**: -6.9764 eV per atom

A plane-wave DFT calculation with PBE was carried out for crystalline LaSe3O12 at its relaxed geometry.

```
LaSe3O12
1.0
-9.031 3.866 0.737
4.823 -2.831 8.110
2.524 5.796 0.522
La Se O
2 6 24
direct
0.667 0.333 0.750
0.333 0.667 0.250
0.610 0.702 0.750
0.390 0.298 0.250
0.092 0.390 0.750
0.908 0.610 0.250
0.298 0.908 0.750
0.702 0.092 0.250
0.962 0.452 0.750
0.038 0.548 0.250
0.489 0.038 0.750
0.511 0.962 0.250
0.548 0.511 0.750
0.452 0.489 0.250
0.805 0.815 0.750
0.195 0.185 0.250
0.011 0.195 0.750
0.989 0.805 0.250
0.185 0.989 0.750
0.815 0.011 0.250
0.543 0.751 0.963
0.457 0.249 0.037
0.208 0.457 0.963
0.457 0.249 0.463
0.792 0.543 0.037
0.543 0.751 0.537
0.249 0.792 0.963
0.792 0.543 0.463
0.751 0.208 0.037
0.208 0.457 0.537
0.751 0.208 0.463
0.249 0.792 0.537
```

Computed properties:
**Crystal system**: hexagonal
**Calculated formation energy**: -1300 meV per atom
**SG**: P6_3/m, No. 176
**E (MP2020)**: -5.9747 eV per atom

A plane-wave DFT calculation with PBE was carried out for crystalline La10Se14O at its relaxed geometry.

```
La10Se14O
1.0
-12.351 -4.537 8.188
-7.638 11.469 -7.091
7.080 -10.552 -8.871
La Se O
40 56 4
direct
0.117 0.117 0.733
0.395 0.042 0.093
0.883 0.617 0.000
0.855 0.448 0.147
0.186 0.811 0.366
0.070 0.195 0.134
0.061 0.936 0.866
0.895 0.802 0.353
0.458 0.105 0.907
0.301 0.708 0.853
0.064 0.930 0.124
0.801 0.948 0.593
0.383 0.383 0.267
0.698 0.605 0.647
0.305 0.430 0.866
0.189 0.555 0.376
0.792 0.199 0.147
0.445 0.820 0.634
0.689 0.314 0.634
0.180 0.814 0.624
0.949 0.302 0.907
0.680 0.055 0.366
0.686 0.320 0.376
0.570 0.436 0.876
0.552 0.699 0.407
0.945 0.311 0.624
0.633 0.133 0.767
0.198 0.551 0.093
0.052 0.645 0.853
0.449 0.542 0.647
0.564 0.439 0.134
0.958 0.051 0.353
0.367 0.867 0.233
0.355 0.208 0.407
0.133 0.367 0.500
0.805 0.939 0.876
0.292 0.145 0.593
0.617 0.883 0.000
0.561 0.695 0.124
0.867 0.633 0.500
0.896 0.742 0.891
0.664 0.524 0.782
0.310 0.647 0.022
0.755 0.146 0.654
0.125 0.730 0.105
0.396 0.505 0.154
0.625 0.288 0.978
0.625 0.103 0.163
0.351 0.242 0.846
0.980 0.875 0.605
0.270 0.375 0.395
0.242 0.024 0.860
0.508 0.226 0.640
0.480 0.875 0.105
0.212 0.875 0.022
0.353 0.375 0.663
0.492 0.101 0.346
0.618 0.758 0.782
0.164 0.382 0.140
0.625 0.520 0.395
0.495 0.649 0.891
0.258 0.149 0.154
0.976 0.836 0.218
0.899 0.245 0.391
0.632 0.914 0.640
0.008 0.368 0.282
0.132 0.492 0.718
0.758 0.604 0.109
0.118 0.336 0.860
0.125 0.147 0.337
0.625 0.020 0.895
0.774 0.414 0.282
0.897 0.060 0.522
0.810 0.788 0.663
0.440 0.603 0.478
0.255 0.601 0.609
0.538 0.375 0.478
0.770 0.375 0.895
0.851 0.005 0.109
0.038 0.560 0.163
0.399 0.008 0.654
0.397 0.875 0.837
0.992 0.646 0.391
0.274 0.992 0.360
0.940 0.462 0.837
0.125 0.962 0.522
0.995 0.104 0.846
0.712 0.690 0.337
0.476 0.258 0.140
0.742 0.882 0.218
0.586 0.868 0.360
0.125 0.230 0.605
0.086 0.726 0.718
0.853 0.190 0.978
0.854 0.508 0.609
0.354 0.745 0.346
0.250 0.750 0.500
0.000 0.000 0.000
0.750 0.250 0.500
0.500 0.500 0.000
```

Computed properties:
**Crystal system**: tetragonal
**Calculated formation energy**: -2174 meV per atom
**SG**: I4_1/acd, No. 142
**E (MP2020)**: -6.3045 eV per atom

A plane-wave DFT calculation with PBE was carried out for crystalline La2Se3O24 at its relaxed geometry.

```
La2Se3O24
1.0
9.885 5.465 0.000
-9.885 5.465 0.000
0.000 5.254 9.530
La Se O
4 6 48
direct
0.911 0.770 0.604
0.230 0.089 0.896
0.089 0.230 0.396
0.770 0.911 0.104
0.072 0.928 0.250
0.928 0.072 0.750
0.892 0.680 0.981
0.320 0.108 0.519
0.108 0.320 0.019
0.680 0.892 0.481
0.986 0.752 0.372
0.248 0.014 0.128
0.014 0.248 0.628
0.752 0.986 0.872
0.929 0.974 0.654
0.026 0.071 0.846
0.071 0.026 0.346
0.974 0.929 0.154
0.815 0.501 0.086
0.499 0.185 0.414
0.185 0.499 0.914
0.501 0.815 0.586
0.917 0.695 0.818
0.305 0.083 0.682
0.083 0.305 0.182
0.695 0.917 0.318
0.728 0.776 0.530
0.224 0.272 0.970
0.272 0.224 0.470
0.776 0.728 0.030
0.186 0.933 0.530
0.067 0.814 0.970
0.814 0.067 0.470
0.933 0.186 0.030
0.543 0.351 0.695
0.649 0.457 0.805
0.457 0.649 0.305
0.351 0.543 0.195
0.051 0.580 0.605
0.420 0.949 0.895
0.949 0.420 0.395
0.580 0.051 0.105
0.597 0.532 0.805
0.468 0.403 0.695
0.403 0.468 0.195
0.532 0.597 0.305
0.592 0.408 0.250
0.408 0.592 0.750
0.759 0.241 0.250
0.241 0.759 0.750
0.639 0.180 0.003
0.820 0.361 0.497
0.361 0.820 0.997
0.180 0.639 0.503
0.006 0.477 0.723
0.523 0.994 0.777
0.994 0.523 0.277
0.477 0.006 0.223
```

Computed properties:
**Crystal system**: monoclinic
**Calculated formation energy**: -505 meV per atom
**SG**: C2/c, No. 15

A plane-wave DFT calculation with PBE was carried out for crystalline LaSe2O9 at its relaxed geometry.

```
LaSe2O9
1.0
-4.333 8.241 -1.243
-5.426 -2.158 4.612
1.692 2.854 13.019
La Se O
4 8 36
direct
0.100 0.692 0.064
0.400 0.692 0.564
0.900 0.308 0.936
0.600 0.308 0.436
0.887 0.911 0.822
0.613 0.911 0.322
0.113 0.089 0.178
0.387 0.089 0.678
0.288 0.481 0.883
0.212 0.481 0.383
0.712 0.519 0.117
0.788 0.519 0.617
0.972 0.997 0.701
0.528 0.997 0.201
0.028 0.003 0.299
0.472 0.003 0.799
0.930 0.660 0.903
0.570 0.660 0.403
0.070 0.340 0.097
0.430 0.340 0.597
0.963 0.003 0.907
0.537 0.003 0.407
0.037 0.997 0.093
0.463 0.997 0.593
0.247 0.667 0.917
0.253 0.667 0.417
0.753 0.333 0.083
0.747 0.333 0.583
0.138 0.381 0.862
0.362 0.381 0.362
0.862 0.619 0.138
0.638 0.619 0.638
0.371 0.587 0.759
0.129 0.587 0.259
0.629 0.413 0.241
0.871 0.413 0.741
0.386 0.304 0.981
0.114 0.304 0.481
0.614 0.696 0.019
0.886 0.696 0.519
0.315 0.448 0.144
0.185 0.448 0.644
0.685 0.552 0.856
0.815 0.552 0.356
0.345 0.887 0.040
0.155 0.887 0.540
0.655 0.113 0.960
0.845 0.113 0.460
```

Computed properties:
**Crystal system**: monoclinic
**Calculated formation energy**: -1168 meV per atom
**SG**: P2_1/c, No. 14
**E (MP2020)**: -5.8726 eV per atom